Entry 1:
LaB5HO10: optimized geometry, GGA-PBE.

Crystal system: monoclinic
Corrected total energy (MP2020 scheme): -8.1487 eV per atom
Mass density: 3.32 Mg/m³
ΔH_f (0 K): -47.32 eV per formula unit

Lattice parameters (Å, degrees): 6.584 10.499 11.175 90.00 113.62 90.00
Element x y z (fractional)
1 La 0.228 0.142 0.369
2 La 0.228 0.358 0.869
3 La 0.772 0.642 0.131
4 La 0.772 0.858 0.631
5 B 0.002 0.236 0.077
6 B 0.002 0.264 0.577
7 B 0.261 0.629 0.106
8 B 0.261 0.871 0.606
9 B 0.308 0.660 0.887
10 B 0.308 0.840 0.387
11 B 0.314 0.005 0.801
12 B 0.314 0.495 0.301
13 B 0.436 0.178 0.162
14 B 0.436 0.322 0.662
15 B 0.564 0.678 0.338
16 B 0.564 0.822 0.838
17 B 0.686 0.505 0.699
18 B 0.686 0.995 0.199
19 B 0.692 0.160 0.613
20 B 0.692 0.340 0.113
21 B 0.739 0.129 0.394
22 B 0.739 0.371 0.894
23 B 0.998 0.736 0.423
24 B 0.998 0.764 0.923
25 H 0.260 0.599 0.700
26 H 0.260 0.901 0.200
27 H 0.740 0.099 0.800
28 H 0.740 0.401 0.300
29 O 0.057 0.712 0.045
30 O 0.057 0.788 0.545
31 O 0.132 0.742 0.355
32 O 0.132 0.758 0.855
33 O 0.184 0.529 0.173
34 O 0.184 0.971 0.673
35 O 0.198 0.173 0.141
36 O 0.198 0.327 0.641
37 O 0.237 0.107 0.851
38 O 0.237 0.393 0.351
39 O 0.251 0.567 0.779
40 O 0.251 0.933 0.279
41 O 0.323 0.580 0.001
42 O 0.323 0.920 0.501
43 O 0.448 0.701 0.196
44 O 0.448 0.799 0.696
45 O 0.473 0.218 0.584
46 O 0.473 0.282 0.084
47 O 0.494 0.054 0.124
48 O 0.494 0.446 0.624
49 O 0.506 0.554 0.376
50 O 0.506 0.946 0.876
51 O 0.527 0.718 0.916
52 O 0.527 0.782 0.416
53 O 0.552 0.201 0.304
54 O 0.552 0.299 0.804
55 O 0.677 0.080 0.499
56 O 0.677 0.420 0.999
57 O 0.749 0.067 0.721
58 O 0.749 0.433 0.221
59 O 0.763 0.607 0.649
60 O 0.763 0.893 0.149
61 O 0.802 0.673 0.359
62 O 0.802 0.827 0.859
63 O 0.816 0.029 0.327
64 O 0.816 0.471 0.827
65 O 0.868 0.242 0.145
66 O 0.868 0.258 0.645
67 O 0.943 0.212 0.455
68 O 0.943 0.288 0.955

---

Entry 2:
LiB5H5: optimized geometry, GGA-PBE.

Crystal system: hexagonal
Corrected total energy (MP2020 scheme): -5.0989 eV per atom
Mass density: 1.01 Mg/m³
ΔH_f (0 K): -3.82 eV per formula unit

Lattice parameters (Å, degrees): 7.088 7.088 14.983 90.00 90.00 120.00
Element x y z (fractional)
1 Li 0.000 0.500 0.074
2 Li 0.000 0.500 0.592
3 Li 0.500 0.000 0.259
4 Li 0.500 0.000 0.741
5 Li 0.500 0.500 0.408
6 Li 0.500 0.500 0.926
7 B 0.121 0.490 0.753
8 B 0.121 0.630 0.913
9 B 0.124 0.394 0.866
10 B 0.124 0.730 0.800
11 B 0.270 0.394 0.134
12 B 0.270 0.876 0.533
13 B 0.302 0.651 0.833
14 B 0.349 0.651 0.167
15 B 0.349 0.698 0.500
16 B 0.370 0.490 0.247
17 B 0.370 0.879 0.420
18 B 0.394 0.124 0.467
19 B 0.394 0.270 0.200
20 B 0.490 0.121 0.580
21 B 0.490 0.370 0.087
22 B 0.510 0.630 0.087
23 B 0.510 0.879 0.580
24 B 0.606 0.730 0.200
25 B 0.606 0.876 0.467
26 B 0.630 0.121 0.420
27 B 0.630 0.510 0.247
28 B 0.651 0.302 0.500
29 B 0.651 0.349 0.167
30 B 0.698 0.349 0.833
31 B 0.730 0.124 0.533
32 B 0.730 0.606 0.134
33 B 0.876 0.270 0.800
34 B 0.876 0.606 0.866
35 B 0.879 0.370 0.913
36 B 0.879 0.510 0.753
37 H 0.091 0.272 0.104
38 H 0.091 0.818 0.562
39 H 0.182 0.272 0.896
40 H 0.182 0.909 0.771
41 H 0.192 0.463 0.685
42 H 0.192 0.730 0.982
43 H 0.250 0.501 0.500
44 H 0.250 0.750 0.167
45 H 0.270 0.463 0.315
46 H 0.270 0.808 0.352
47 H 0.272 0.091 0.229
48 H 0.272 0.182 0.438
49 H 0.463 0.192 0.648
50 H 0.463 0.270 0.018
51 H 0.499 0.750 0.833
52 H 0.501 0.250 0.833
53 H 0.537 0.730 0.018
54 H 0.537 0.808 0.648
55 H 0.728 0.818 0.438
56 H 0.728 0.909 0.229
57 H 0.730 0.192 0.352
58 H 0.730 0.537 0.315
59 H 0.750 0.250 0.167
60 H 0.750 0.499 0.500
61 H 0.808 0.270 0.982
62 H 0.808 0.537 0.685
63 H 0.818 0.091 0.771
64 H 0.818 0.728 0.896
65 H 0.909 0.182 0.562
66 H 0.909 0.728 0.104

---

Entry 3:
LiB3H3: optimized geometry, GGA-PBE.

Crystal system: cubic
Corrected total energy (MP2020 scheme): -4.8493 eV per atom
Mass density: 1.10 Mg/m³
ΔH_f (0 K): -1.82 eV per formula unit

Lattice parameters (Å, degrees): 5.654 5.654 5.654 60.00 60.00 60.00
Element x y z (fractional)
1 Li 0.250 0.250 0.250
2 Li 0.750 0.750 0.750
3 B 0.153 0.153 0.847
4 B 0.153 0.847 0.153
5 B 0.153 0.847 0.847
6 B 0.847 0.153 0.153
7 B 0.847 0.153 0.847
8 B 0.847 0.847 0.153
9 H 0.302 0.302 0.698
10 H 0.302 0.698 0.302
11 H 0.302 0.698 0.698
12 H 0.698 0.302 0.302
13 H 0.698 0.302 0.698
14 H 0.698 0.698 0.302

---

Entry 4:
LiB3H8: optimized geometry, GGA-PBE.

Crystal system: orthorhombic
Corrected total energy (MP2020 scheme): -4.3873 eV per atom
Mass density: 0.66 Mg/m³
ΔH_f (0 K): -3.56 eV per formula unit

Lattice parameters (Å, degrees): 6.426 6.426 5.791 90.00 90.00 91.58
Element x y z (fractional)
1 Li 0.060 0.940 0.750
2 Li 0.940 0.060 0.250
3 B 0.191 0.809 0.097
4 B 0.191 0.809 0.403
5 B 0.359 0.641 0.250
6 B 0.641 0.359 0.750
7 B 0.809 0.191 0.597
8 B 0.809 0.191 0.903
9 H 0.025 0.746 0.021
10 H 0.025 0.746 0.479
11 H 0.254 0.975 0.021
12 H 0.254 0.975 0.479
13 H 0.312 0.456 0.250
14 H 0.316 0.684 0.010
15 H 0.316 0.684 0.490
16 H 0.456 0.312 0.750
17 H 0.544 0.688 0.250
18 H 0.684 0.316 0.510
19 H 0.684 0.316 0.990
20 H 0.688 0.544 0.750
21 H 0.746 0.025 0.521
22 H 0.746 0.025 0.979
23 H 0.975 0.254 0.521
24 H 0.975 0.254 0.979

---

Entry 5:
Li3BH6: optimized geometry, GGA-PBE.

Crystal system: triclinic
Corrected total energy (MP2020 scheme): -3.4538 eV per atom
Mass density: 0.71 Mg/m³
Relative energy among the computed polymorphs: 0.26 eV per formula unit
ΔH_f (0 K): -1.78 eV per formula unit

Lattice parameters (Å, degrees): 5.171 5.669 6.030 84.29 89.64 84.70
Element x y z (fractional)
1 Li 0.000 0.000 0.000
2 Li 0.019 0.434 0.457
3 Li 0.059 0.469 0.945
4 Li 0.352 0.949 0.363
5 Li 0.573 0.182 0.696
6 Li 0.645 0.685 0.749
7 B 0.174 0.813 0.705
8 B 0.608 0.598 0.239
9 H 0.087 0.803 0.513
10 H 0.134 0.201 0.193
11 H 0.296 0.607 0.742
12 H 0.461 0.475 0.353
13 H 0.485 0.724 0.090
14 H 0.506 0.065 0.992
15 H 0.580 0.165 0.032
16 H 0.719 0.721 0.359
17 H 0.729 0.141 0.395
18 H 0.773 0.463 0.158
19 H 0.802 0.042 0.471
20 H 0.822 0.380 0.736

---

Entry 6:
LiB4H4: optimized geometry, GGA-PBE.

Crystal system: tetragonal
Corrected total energy (MP2020 scheme): -4.9136 eV per atom
Mass density: 1.06 Mg/m³
ΔH_f (0 K): -2.03 eV per formula unit

Lattice parameters (Å, degrees): 6.683 6.683 6.683 130.27 130.27 72.97
Element x y z (fractional)
1 Li 0.250 0.750 0.500
2 Li 0.750 0.250 0.500
3 B 0.277 0.277 0.798
4 B 0.310 0.629 0.000
5 B 0.371 0.371 0.681
6 B 0.479 0.479 0.202
7 B 0.521 0.723 0.000
8 B 0.629 0.310 0.000
9 B 0.690 0.690 0.319
10 B 0.723 0.521 0.000
11 H 0.092 0.092 0.600
12 H 0.137 0.749 0.000
13 H 0.251 0.251 0.388
14 H 0.491 0.491 0.400
15 H 0.509 0.908 0.000
16 H 0.749 0.137 0.000
17 H 0.863 0.863 0.612
18 H 0.908 0.509 0.000

---

Entry 7:
Li3BH6: optimized geometry, GGA-PBE.

Crystal system: trigonal
Corrected total energy (MP2020 scheme): -3.4015 eV per atom
Mass density: 0.90 Mg/m³
Relative energy among the computed polymorphs: 0.79 eV per formula unit
ΔH_f (0 K): -1.25 eV per formula unit

Lattice parameters (Å, degrees): 5.183 5.183 5.183 92.16 92.16 92.16
Element x y z (fractional)
1 Li 0.080 0.758 0.584
2 Li 0.242 0.416 0.920
3 Li 0.416 0.920 0.242
4 Li 0.584 0.080 0.758
5 Li 0.758 0.584 0.080
6 Li 0.920 0.242 0.416
7 B 0.000 0.000 0.000
8 B 0.500 0.500 0.500
9 H 0.053 0.736 0.931
10 H 0.069 0.947 0.264
11 H 0.235 0.422 0.551
12 H 0.264 0.069 0.947
13 H 0.422 0.551 0.235
14 H 0.449 0.765 0.578
15 H 0.551 0.235 0.422
16 H 0.578 0.449 0.765
17 H 0.736 0.931 0.053
18 H 0.765 0.578 0.449
19 H 0.931 0.053 0.736
20 H 0.947 0.264 0.069

---

Entry 8:
LiBH2: optimized geometry, GGA-PBE.

Crystal system: orthorhombic
Corrected total energy (MP2020 scheme): -3.7469 eV per atom
Mass density: 0.94 Mg/m³
ΔH_f (0 K): 0.39 eV per formula unit

Lattice parameters (Å, degrees): 8.217 3.035 5.622 90.00 90.00 90.00
Element x y z (fractional)
1 Li 0.238 0.250 0.150
2 Li 0.262 0.750 0.650
3 Li 0.738 0.250 0.350
4 Li 0.762 0.750 0.850
5 B 0.044 0.750 0.922
6 B 0.456 0.250 0.422
7 B 0.544 0.750 0.578
8 B 0.956 0.250 0.078
9 H 0.013 0.250 0.280
10 H 0.089 0.250 0.933
11 H 0.411 0.750 0.433
12 H 0.487 0.750 0.780
13 H 0.513 0.250 0.220
14 H 0.589 0.250 0.567
15 H 0.911 0.750 0.067
16 H 0.987 0.750 0.720